## RbO2 (PBE)

Data for a relaxed RbO2 crystal.

Computed properties:
Formation energy from the elements in meV per atom: -972.3
Crystal system: tetragonal
Energy relative to the lowest polymorph listed for this composition in meV per atom: 0
E_tot in eV per formula unit: -13.47

Unit cell a=4.1943 b=4.1943 c=7.0528 alpha=90.00 beta=90.00 gamma=90.00
Sites, in units of the cell vectors:
Rb1 0.0000 0.0000 0.0000
Rb2 0.5000 0.5000 0.5000
O1 0.0000 0.0000 0.4040
O2 0.0000 0.0000 0.5960
O3 0.5000 0.5000 0.0960
O4 0.5000 0.5000 0.9040